Density functional theory data (PBE) for a relaxed structure of Nd6Ti4Al43.

Unit cell a=11.1669 b=11.1669 c=17.9843 alpha=90.00 beta=90.00 gamma=120.00
Fractional coordinates of all 106 atoms:
Al (0.1561, 0.1561, 0.6163)
Al (0.0000, 0.7488, 0.4703)
Al (0.4946, 0.2473, 0.5000)
Al (0.5054, 0.7527, 0.5000)
Al (0.5529, 0.4021, 0.7500)
Al (0.2339, 0.3919, 0.1661)
Al (0.0000, 0.2512, 0.9703)
Nd (0.4702, 0.4702, 0.5962)
Al (0.8420, 0.6081, 0.1661)
Al (0.8492, 0.4471, 0.7500)
Al (0.4021, 0.5529, 0.7500)
Al (0.3333, 0.6667, 0.8729)
Al (0.0000, 0.8544, 0.2500)
Nd (0.5298, 0.0000, 0.5962)
Nd (0.0000, 0.4702, 0.4038)
Ti (0.2711, 0.0000, 0.2500)
Al (0.3919, 0.2339, 0.1661)
Al (0.3919, 0.2339, 0.3339)
Al (0.8439, 0.0000, 0.8837)
Al (0.1508, 0.5979, 0.7500)
Al (0.7661, 0.1580, 0.3339)
Al (0.4471, 0.5979, 0.2500)
Al (0.5529, 0.1508, 0.2500)
Al (0.6667, 0.3333, 0.3729)
Al (0.2512, 0.0000, 0.9703)
Nd (0.5298, 0.5298, 0.4038)
Al (0.3333, 0.6667, 0.1271)
Al (0.1580, 0.3919, 0.8339)
Al (0.0000, 0.1456, 0.7500)
Nd (0.0000, 0.4702, 0.0962)
Al (0.2512, 0.2512, 0.0297)
Al (0.6667, 0.3333, 0.1271)
Ti (0.7289, 0.0000, 0.7500)
Al (0.6667, 0.3333, 0.6271)
Al (0.7661, 0.1580, 0.1661)
Al (0.6081, 0.7661, 0.6661)
Al (0.8544, 0.0000, 0.2500)
Ti (0.0000, 0.0000, 0.5000)
Al (0.4946, 0.2473, 0.0000)
Al (0.0000, 0.2512, 0.5297)
Al (0.0000, 0.7488, 0.0297)
Al (0.0000, 0.1561, 0.1163)
Al (0.5979, 0.4471, 0.2500)
Al (0.4471, 0.8492, 0.7500)
Al (0.3919, 0.1580, 0.8339)
Al (0.6081, 0.8420, 0.1661)
Al (0.3333, 0.6667, 0.3729)
Al (0.2473, 0.4946, 0.5000)
Al (0.8439, 0.8439, 0.3837)
Al (0.1456, 0.1456, 0.2500)
Al (0.0000, 0.8439, 0.6163)
Al (0.8420, 0.2339, 0.6661)
Al (0.2339, 0.8420, 0.6661)
Al (0.1561, 0.1561, 0.8837)
Nd (0.5298, 0.0000, 0.9038)
Al (0.3333, 0.6667, 0.6271)
Al (0.4021, 0.8492, 0.2500)
Al (0.2339, 0.8420, 0.8339)
Al (0.1580, 0.3919, 0.6661)
Ti (0.0000, 0.0000, 0.0000)
Nd (0.4702, 0.0000, 0.4038)
Al (0.7527, 0.5054, 0.0000)
Ti (0.0000, 0.2711, 0.2500)
Al (0.7527, 0.2473, 0.0000)
Al (0.5979, 0.1508, 0.7500)
Nd (0.4702, 0.0000, 0.0962)
Al (0.7488, 0.7488, 0.5297)
Al (0.8420, 0.2339, 0.8339)
Al (0.2512, 0.0000, 0.5297)
Al (0.7661, 0.6081, 0.8339)
Al (0.2512, 0.2512, 0.4703)
Al (0.0000, 0.8439, 0.8837)
Al (0.3919, 0.1580, 0.6661)
Al (0.1580, 0.7661, 0.3339)
Al (0.7488, 0.7488, 0.9703)
Al (0.8439, 0.0000, 0.6163)
Nd (0.0000, 0.5298, 0.9038)
Ti (0.0000, 0.7289, 0.7500)
Ti (0.2711, 0.2711, 0.7500)
Al (0.1456, 0.0000, 0.7500)
Al (0.7661, 0.6081, 0.6661)
Al (0.1508, 0.5529, 0.2500)
Al (0.8492, 0.4021, 0.2500)
Al (0.6667, 0.3333, 0.8729)
Al (0.5054, 0.7527, 0.0000)
Al (0.1561, 0.0000, 0.3837)
Al (0.6081, 0.7661, 0.8339)
Al (0.0000, 0.1561, 0.3837)
Nd (0.4702, 0.4702, 0.9038)
Ti (0.7289, 0.7289, 0.2500)
Al (0.8439, 0.8439, 0.1163)
Al (0.6081, 0.8420, 0.3339)
Al (0.1561, 0.0000, 0.1163)
Al (0.7527, 0.2473, 0.5000)
Al (0.7527, 0.5054, 0.5000)
Al (0.8544, 0.8544, 0.7500)
Al (0.2339, 0.3919, 0.3339)
Al (0.7488, 0.0000, 0.0297)
Al (0.2473, 0.4946, 0.0000)
Al (0.1580, 0.7661, 0.1661)
Al (0.2473, 0.7527, 0.0000)
Nd (0.0000, 0.5298, 0.5962)
Al (0.8420, 0.6081, 0.3339)
Nd (0.5298, 0.5298, 0.0962)
Al (0.7488, 0.0000, 0.4703)
Al (0.2473, 0.7527, 0.5000)

Computed properties:
Density in g/cm³: 3.8
VASP energy in eV per atom: -4.5113

---

Density functional theory data (PBE) for a relaxed structure of AlNi3.

Unit cell a=4.0005 b=4.0005 c=4.0005 alpha=60.00 beta=60.00 gamma=60.00
Fractional coordinates of all 4 atoms:
Ni (0.0000, 0.0000, 0.0000)
Ni (0.7500, 0.7500, 0.7500)
Ni (0.2500, 0.2500, 0.2500)
Al (0.5000, 0.5000, 0.5000)

Computed properties:
Density in g/cm³: 7.4
VASP energy in eV per atom: -5.6587

---

Density functional theory data (PBE) for a relaxed structure of AlNi.

Unit cell a=2.8879 b=2.8879 c=2.8879 alpha=90.00 beta=90.00 gamma=90.00
Fractional coordinates of all 2 atoms:
Al (0.0000, 0.0000, 0.0000)
Ni (0.5000, 0.5000, 0.5000)

Computed properties:
Density in g/cm³: 5.9
VASP energy in eV per atom: -5.4217